[1]
## Ce8SbPd24 (PBE-GGA)

Data for Ce8SbPd24 after structural relaxation.

Results
E   -6.1282 eV per atom
Total magnetic moment   3.50 μB/cell

```
33
Lattice="-5.751 -1.455 6.090 -1.685 -7.604 -3.408 6.030 -3.512 4.856" Properties=species:S:1:pos:R:3 pbc="T T T"
Ce -1.199 -6.952 0.143
Pd -0.534 -2.409 -1.080
Pd -1.115 -8.146 2.935
Pd -3.929 -0.994 4.160
Pd 1.538 -3.298 6.599
Ce -0.207 -5.620 7.394
Pd -1.259 -1.669 4.347
Pd -0.291 -4.425 4.603
Ce 2.699 -4.885 4.318
Pd -2.385 -4.192 -0.071
Ce 1.847 -8.726 2.596
Pd -3.327 -2.766 2.131
Pd -2.178 -5.426 2.581
Pd 2.563 -3.795 1.514
Pd 1.782 -7.321 -0.066
Pd 4.119 -2.399 3.317
Pd 3.571 -6.373 1.850
Pd 1.473 -2.146 4.061
Pd 0.774 -4.744 -0.402
Sb 0.000 0.000 0.000
Pd -5.051 -4.867 2.753
Pd -4.109 -6.293 0.551
Pd 1.911 -1.113 1.539
Pd -1.151 -5.195 -2.328
Pd -2.110 -6.642 5.259
Pd -1.194 -2.821 6.885
Ce -1.058 -9.461 5.673
Pd 0.704 -5.930 2.279
Ce -0.348 -3.110 1.865
Ce -3.253 -3.845 4.941
Pd -1.822 -0.461 1.930
Pd 0.772 -7.145 4.957
Ce -4.104 -7.687 3.220
```

=====

[2]
## CeMgAu2 (PBE-GGA)

Data for CeMgAu2 after structural relaxation.

Results
E   -4.1768 eV per atom

```
4
Lattice="0.000 3.553 3.553 3.553 0.000 3.553 3.553 3.553 0.000" Properties=species:S:1:pos:R:3 pbc="T T T"
Mg 0.000 0.000 0.000
Au 1.776 1.776 1.776
Au 5.329 5.329 5.329
Ce 3.553 3.553 3.553
```

=====

[3]
## Ba3Nb3N5 (PBE-GGA)

Data for Ba3Nb3N5 after structural relaxation.

Results
Corrected total energy (MP2020 scheme)   -7.990 eV per atom
Total magnetic moment   0.00 μB/cell

```
22
Lattice="6.078 -0.440 -0.045 -1.214 8.372 -0.215 -1.970 -3.442 8.409" Properties=species:S:1:pos:R:3 pbc="T T T"
N 4.308 -2.432 6.824
Ba 2.894 1.249 4.969
N 2.353 4.022 4.629
Nb -1.961 4.921 5.661
N -0.544 5.778 4.400
N -1.414 6.923 1.326
Nb 1.576 5.888 5.078
Ba -0.009 -0.118 6.175
N 3.438 -1.287 3.750
Nb 3.144 -1.125 8.035
N 4.557 1.118 1.175
Ba 2.903 4.609 1.975
Ba 1.100 3.482 7.445
Nb -0.250 5.616 0.115
Ba 1.794 1.009 0.705
N 0.670 3.805 0.419
N 2.224 0.686 7.731
Nb 4.855 -0.430 2.488
N 0.541 0.469 3.520
N -1.663 3.373 6.974
Ba 0.000 3.242 3.180
Nb 1.318 -1.397 3.071
```

=====

[4]
## LiTb3 (PBE-GGA)

Data for LiTb3 after structural relaxation.

Results
ΔE to the lowest computed polymorph   6 meV per atom
Total magnetic moment   0.00 μB/cell

```
4
Lattice="4.893 0.000 0.000 0.000 4.893 0.000 0.000 0.000 4.893" Properties=species:S:1:pos:R:3 pbc="T T T"
Tb 0.000 2.446 2.446
Tb 2.446 0.000 2.446
Li 0.000 0.000 0.000
Tb 2.446 2.446 0.000
```